Compound: Mg2Al2SiH4O9
Source: Materials Project
Functional: GGA-PBE
Structure: relaxed

Properties
Uncorrected energy ... -6.453 eV/atom
Total magnetic moment ... 0.00 Bohr magnetons per cell
Calculated formation energy ... -2.673 eV per atom

a b c (Å): 5.3578 5.3612 14.1216
angles (deg): 89.73 89.71 60.10
Space group P1 (No. 1)
Unique sites:
Mg: 0.0000 0.0000 0.0000 (multiplicity 1)
Mg: 0.0180 0.3192 0.5000 (multiplicity 1)
Mg: 0.3302 0.3290 0.0007 (multiplicity 1)
Mg: 0.3488 0.6479 0.4993 (multiplicity 1)
Al: 0.0112 0.6512 0.3035 (multiplicity 1)
Al: 0.3403 0.0020 0.8039 (multiplicity 1)
Al: 0.6567 0.6728 0.9988 (multiplicity 1)
Al: 0.6916 0.9753 0.4987 (multiplicity 1)
Si: 0.6702 0.3449 0.8015 (multiplicity 1)
Si: 0.6816 0.3081 0.3013 (multiplicity 1)
H: 0.3654 0.6390 0.1384 (multiplicity 1)
H: 0.3872 0.9819 0.3581 (multiplicity 1)
H: 0.3976 0.2799 0.6373 (multiplicity 1)
H: 0.6604 0.6731 0.6380 (multiplicity 1)
H: 0.6844 0.9747 0.1384 (multiplicity 1)
H: 0.9502 0.3683 0.1377 (multiplicity 1)
H: 0.9702 0.6662 0.8586 (multiplicity 1)
H: 0.9825 0.0089 0.6380 (multiplicity 1)
O: 0.3544 0.9771 0.9285 (multiplicity 1)
O: 0.3548 0.6602 0.0688 (multiplicity 1)
O: 0.3613 0.5462 0.2637 (multiplicity 1)
O: 0.3765 0.9830 0.4269 (multiplicity 1)
O: 0.3830 0.2856 0.5674 (multiplicity 1)
O: 0.4413 0.2504 0.7637 (multiplicity 1)
O: 0.5842 0.6609 0.7577 (multiplicity 1)
O: 0.6635 0.3597 0.9197 (multiplicity 1)
O: 0.6661 0.9762 0.0685 (multiplicity 1)
O: 0.6805 0.6706 0.5680 (multiplicity 1)
O: 0.6868 0.2907 0.4193 (multiplicity 1)
O: 0.7659 0.9931 0.2575 (multiplicity 1)
O: 0.9124 0.4018 0.2635 (multiplicity 1)
O: 0.9637 0.3615 0.0677 (multiplicity 1)
O: 0.9747 0.6663 0.9275 (multiplicity 1)
O: 0.9913 0.1096 0.7635 (multiplicity 1)
O: 0.9928 0.9866 0.5685 (multiplicity 1)
O: 0.9954 0.6729 0.4280 (multiplicity 1)